DFT (PBE) results for crystalline CaH2O2 at its relaxed geometry.

Output
space group: No. 164
ΔE_f: -2.166 eV per atom
DFT total energy: -5.6283 eV per atom
V: 11.2 A^3/atom

Cell: 3.620 3.620 4.934 Å, 90.00 90.00 120.00°
Positions (direct):
Ca  0.000  0.000  0.000
H  0.667  0.333  0.431
H  0.333  0.667  0.569
O  0.667  0.333  0.233
O  0.333  0.667  0.767

DFT (PBE) results for crystalline KGe at its relaxed geometry.

Output
space group: No. 218
M_tot: 0.0 μB/f.u.
ΔE_f: -0.213 eV per atom
DFT total energy: -3.0793 eV per atom
V: 33.7 A^3/atom

Cell: 12.925 12.925 12.925 Å, 90.00 90.00 90.00°
Positions (direct):
K  0.838  0.567  0.639
K  0.838  0.433  0.361
K  0.567  0.639  0.838
K  0.433  0.639  0.162
K  0.639  0.838  0.567
K  0.361  0.162  0.567
K  0.662  0.861  0.067
K  0.662  0.139  0.933
K  0.338  0.861  0.933
K  0.139  0.933  0.662
K  0.933  0.338  0.861
K  0.933  0.662  0.139
K  0.861  0.067  0.662
K  0.067  0.662  0.861
K  0.861  0.933  0.338
K  0.335  0.335  0.335
K  0.067  0.338  0.139
K  0.361  0.838  0.433
K  0.639  0.162  0.433
K  0.567  0.361  0.162
K  0.433  0.361  0.838
K  0.162  0.433  0.639
K  0.162  0.567  0.361
K  0.338  0.139  0.067
K  0.835  0.835  0.835
K  0.665  0.335  0.665
K  0.335  0.665  0.665
K  0.665  0.665  0.335
K  0.835  0.165  0.165
K  0.165  0.165  0.835
K  0.165  0.835  0.165
K  0.139  0.067  0.338
Ge  0.422  0.065  0.320
Ge  0.565  0.078  0.180
Ge  0.922  0.820  0.565
Ge  0.078  0.820  0.435
Ge  0.820  0.565  0.922
Ge  0.180  0.435  0.922
Ge  0.935  0.680  0.422
Ge  0.935  0.320  0.578
Ge  0.065  0.680  0.578
Ge  0.320  0.578  0.935
Ge  0.578  0.065  0.680
Ge  0.578  0.935  0.320
Ge  0.680  0.422  0.935
Ge  0.422  0.935  0.680
Ge  0.680  0.578  0.065
Ge  0.320  0.422  0.065
Ge  0.565  0.922  0.820
Ge  0.180  0.565  0.078
Ge  0.820  0.435  0.078
Ge  0.922  0.180  0.435
Ge  0.078  0.180  0.565
Ge  0.435  0.078  0.820
Ge  0.435  0.922  0.180
Ge  0.065  0.320  0.422
Ge  0.571  0.571  0.571
Ge  0.929  0.071  0.929
Ge  0.071  0.929  0.929
Ge  0.929  0.929  0.071
Ge  0.571  0.429  0.429
Ge  0.429  0.429  0.571
Ge  0.429  0.571  0.429
Ge  0.071  0.071  0.071

DFT (PBE) results for crystalline SmZnAgAs2 at its relaxed geometry.

Output
space group: No. 156
M_tot: 0.0 μB/f.u.
ΔE_f: -0.631 eV per atom
DFT total energy: -4.2567 eV per atom
V: 22.2 A^3/atom

Cell: 4.298 4.298 6.924 Å, 90.00 90.00 120.00°
Positions (direct):
Sm  0.000  0.000  0.985
Zn  0.667  0.333  0.375
Ag  0.333  0.667  0.636
As  0.333  0.667  0.244
As  0.667  0.333  0.759

DFT (PBE) results for crystalline CaTa2Bi2O9 at its relaxed geometry.

Output
space group: No. 139
M_tot: 0.0 μB/f.u.
ΔE_f: -2.170 eV per atom
DFT total energy: -7.3026 eV per atom
V: 13.5 A^3/atom

Cell: 13.469 13.469 13.469 Å, 163.84 163.84 22.93°
Positions (direct):
Ca  0.500  0.500  0.000
Ta  0.920  0.920  0.000
Ta  0.080  0.080  0.000
Bi  0.200  0.200  0.000
Bi  0.800  0.800  0.000
O  0.435  0.935  0.500
O  0.345  0.345  0.000
O  0.750  0.250  0.500
O  0.250  0.750  0.500
O  0.935  0.435  0.500
O  0.565  0.065  0.500
O  0.065  0.565  0.500
O  0.655  0.655  0.000
O  0.000  0.000  0.000

DFT (PBE) results for crystalline Be3N2 at its relaxed geometry.

Output
space group: No. 206
ΔE_f: -1.218 eV per atom
DFT total energy: -6.6519 eV per atom
V: 6.8 A^3/atom

Cell: 7.057 7.057 7.057 Å, 109.47 109.47 109.47°
Positions (direct):
Be  0.766  0.532  0.526
Be  0.968  0.734  0.994
Be  0.766  0.734  0.260
Be  0.240  0.974  0.506
Be  0.734  0.994  0.968
Be  0.260  0.766  0.734
Be  0.974  0.506  0.240
Be  0.526  0.766  0.532
Be  0.532  0.526  0.766
Be  0.994  0.968  0.734
Be  0.734  0.260  0.766
Be  0.506  0.240  0.974
Be  0.234  0.468  0.474
Be  0.032  0.266  0.006
Be  0.234  0.266  0.740
Be  0.760  0.026  0.494
Be  0.266  0.006  0.032
Be  0.740  0.234  0.266
Be  0.026  0.494  0.760
Be  0.474  0.234  0.468
Be  0.468  0.474  0.234
Be  0.006  0.032  0.266
Be  0.266  0.740  0.234
Be  0.494  0.760  0.026
N  0.229  0.979  0.250
N  0.521  0.750  0.271
N  0.750  0.271  0.521
N  0.979  0.250  0.229
N  0.250  0.229  0.979
N  0.271  0.521  0.750
N  0.771  0.021  0.750
N  0.479  0.250  0.729
N  0.250  0.729  0.479
N  0.021  0.750  0.771
N  0.750  0.771  0.021
N  0.729  0.479  0.250
N  0.500  0.500  0.500
N  0.000  0.500  0.000
N  0.000  0.000  0.500
N  0.500  0.000  0.000

DFT (PBE) results for crystalline EuEr at its relaxed geometry.

Output
space group: No. 187
M_tot: 7.7 μB/f.u.
ΔE_f: 0.101 eV per atom
DFT total energy: -7.3113 eV per atom
V: 35.1 A^3/atom

Cell: 3.660 3.660 6.054 Å, 90.00 90.00 120.00°
Positions (direct):
Eu  0.000  0.000  0.000
Er  0.333  0.667  0.500

DFT (PBE) results for crystalline VOs at its relaxed geometry.

Output
space group: No. 221
ΔE_f: -0.233 eV per atom
DFT total energy: -10.3890 eV per atom
V: 13.8 A^3/atom

Cell: 3.024 3.024 3.024 Å, 90.00 90.00 90.00°
Positions (direct):
V  0.000  0.000  0.000
Os  0.500  0.500  0.500

DFT (PBE) results for crystalline BaTlSb2O6 at its relaxed geometry.

Output
space group: No. 139
M_tot: 0.0 μB/f.u.
ΔE_f: -1.733 eV per atom
DFT total energy: -5.5431 eV per atom
V: 17.1 A^3/atom

Cell: 3.849 3.850 23.293 Å, 94.74 94.74 89.99°
Positions (direct):
Ba  0.160  0.160  0.320
Ba  0.840  0.840  0.680
Tl  0.725  0.725  0.449
Tl  0.275  0.275  0.551
Sb  0.531  0.531  0.062
Sb  0.400  0.400  0.800
Sb  0.600  0.600  0.201
Sb  0.469  0.469  0.938
O  0.381  0.881  0.762
O  0.541  0.041  0.083
O  0.230  0.230  0.461
O  0.959  0.458  0.917
O  0.770  0.770  0.539
O  0.119  0.619  0.238
O  0.619  0.119  0.238
O  0.319  0.319  0.638
O  0.881  0.381  0.762
O  0.041  0.542  0.083
O  0.458  0.958  0.917
O  0.681  0.681  0.362

DFT (PBE) results for crystalline Ti13Sb3 at its relaxed geometry.

Output
space group: No. 25
ΔE_f: -0.282 eV per atom
DFT total energy: -7.4356 eV per atom
V: 17.6 A^3/atom

Cell: 4.748 5.829 10.165 Å, 90.00 90.00 90.00°
Positions (direct):
Ti  0.500  0.000  0.165
Ti  0.500  0.500  0.665
Ti  0.500  0.740  0.412
Ti  0.500  0.250  0.927
Ti  0.500  0.260  0.412
Ti  0.500  0.750  0.927
Ti  0.000  0.500  0.332
Ti  0.000  0.000  0.834
Ti  0.000  0.750  0.082
Ti  0.000  0.256  0.581
Ti  0.000  0.250  0.082
Ti  0.000  0.744  0.581
Ti  0.500  0.500  0.168
Sb  0.500  0.000  0.666
Sb  0.000  0.000  0.335
Sb  0.000  0.500  0.832

DFT (PBE) results for crystalline Na3InGaP3O12 at its relaxed geometry.

Output
space group: No. 1
M_tot: 0.0 μB/f.u.
ΔE_f: -2.540 eV per atom
DFT total energy: -6.3955 eV per atom
V: 12.7 A^3/atom

Cell: 8.939 8.920 22.089 Å, 90.00 89.95 119.79°
Positions (direct):
Na  0.000  0.001  0.501
Na  0.998  0.998  0.002
Na  0.629  0.313  0.832
Na  0.688  0.371  0.334
Na  0.332  0.667  0.170
Na  0.333  0.666  0.665
Na  0.639  0.002  0.250
Na  0.361  0.359  0.250
Na  0.638  0.634  0.747
Na  0.997  0.362  0.747
Na  0.036  0.703  0.584
Na  0.665  0.966  0.584
Na  0.301  0.970  0.086
Na  0.027  0.333  0.086
Na  0.970  0.665  0.918
Na  0.695  0.028  0.917
Na  0.972  0.302  0.417
Na  0.334  0.033  0.418
In  0.991  0.988  0.347
In  0.012  0.009  0.846
In  0.663  0.340  0.987
In  0.341  0.664  0.020
In  0.336  0.659  0.518
In  0.334  0.670  0.813
Ga  0.009  0.007  0.647
Ga  0.994  0.992  0.154
Ga  0.660  0.329  0.681
Ga  0.671  0.340  0.184
Ga  0.662  0.338  0.483
Ga  0.329  0.664  0.317
P  0.302  0.998  0.249
P  0.699  0.697  0.249
P  0.999  0.303  0.249
P  0.302  0.294  0.745
P  0.995  0.699  0.745
P  0.706  0.006  0.745
P  0.951  0.327  0.584
P  0.373  0.049  0.582
P  0.674  0.627  0.586
P  0.961  0.637  0.085
P  0.674  0.039  0.088
P  0.361  0.323  0.091
P  0.635  0.667  0.912
P  0.032  0.365  0.918
P  0.334  0.967  0.920
P  0.628  0.967  0.417
P  0.341  0.373  0.413
P  0.036  0.660  0.419
O  0.228  0.038  0.307
O  0.800  0.761  0.308
O  0.958  0.191  0.307
O  0.236  0.200  0.806
O  0.969  0.775  0.804
O  0.810  0.038  0.804
O  0.802  0.981  0.690
O  0.176  0.200  0.693
O  0.015  0.812  0.689
O  0.791  0.827  0.197
O  0.034  0.212  0.195
O  0.188  0.973  0.193
O  0.866  0.354  0.641
O  0.493  0.140  0.635
O  0.656  0.528  0.645
O  0.858  0.505  0.135
O  0.647  0.134  0.142
O  0.470  0.343  0.147
O  0.438  0.289  0.034
O  0.875  0.573  0.023
O  0.707  0.144  0.028
O  0.451  0.146  0.521
O  0.698  0.536  0.530
O  0.840  0.299  0.526
O  0.547  0.697  0.967
O  0.131  0.450  0.977
O  0.310  0.865  0.980
O  0.554  0.869  0.477
O  0.296  0.448  0.468
O  0.138  0.694  0.479
O  0.131  0.627  0.366
O  0.513  0.871  0.361
O  0.361  0.478  0.354
O  0.117  0.471  0.860
O  0.364  0.878  0.865
O  0.542  0.650  0.851
O  0.024  0.825  0.411
O  0.815  0.999  0.413
O  0.181  0.187  0.409
O  0.005  0.180  0.915
O  0.166  0.974  0.915
O  0.818  0.832  0.911
O  0.966  0.160  0.588
O  0.188  0.023  0.587
O  0.840  0.812  0.587
O  0.986  0.820  0.094
O  0.839  0.025  0.095
O  0.177  0.160  0.095
O  0.688  0.169  0.739
O  0.486  0.321  0.738
O  0.831  0.516  0.741
O  0.669  0.512  0.240
O  0.838  0.323  0.241
O  0.487  0.159  0.243
O  0.658  0.508  0.918
O  0.851  0.350  0.919
O  0.499  0.146  0.922
O  0.639  0.148  0.419
O  0.505  0.359  0.420
O  0.857  0.493  0.423
O  0.337  0.483  0.087
O  0.144  0.652  0.086
O  0.507  0.861  0.086
O  0.353  0.864  0.582
O  0.516  0.657  0.583
O  0.131  0.493  0.582
O  0.324  0.836  0.256
O  0.517  0.684  0.254
O  0.168  0.481  0.255
O  0.317  0.476  0.747
O  0.153  0.671  0.747
O  0.529  0.838  0.746

DFT (PBE) results for crystalline K3BSb4O13 at its relaxed geometry.

Output
space group: No. 2
ΔE_f: -2.122 eV per atom
DFT total energy: -6.0230 eV per atom
V: 14.9 A^3/atom

Cell: 7.233 7.346 13.461 Å, 82.03 80.15 63.05°
Positions (direct):
K  0.706  0.216  0.694
K  0.099  0.605  0.558
K  0.309  0.781  0.031
K  0.294  0.784  0.306
K  0.691  0.219  0.969
K  0.901  0.395  0.442
B  0.841  0.731  0.977
B  0.159  0.269  0.023
Sb  0.683  0.691  0.787
Sb  0.162  0.211  0.791
Sb  0.832  0.293  0.207
Sb  0.838  0.789  0.209
Sb  0.168  0.707  0.793
Sb  0.317  0.309  0.213
Sb  0.580  0.066  0.394
Sb  0.420  0.934  0.606
O  0.537  0.013  0.251
O  0.838  0.805  0.361
O  0.741  0.225  0.351
O  0.139  0.604  0.193
O  0.553  0.383  0.159
O  0.678  0.751  0.928
O  0.259  0.775  0.649
O  0.050  0.654  0.936
O  0.162  0.195  0.639
O  0.447  0.617  0.841
O  0.861  0.396  0.807
O  0.270  0.420  0.753
O  0.675  0.673  0.638
O  0.730  0.580  0.247
O  0.593  0.085  0.539
O  0.898  0.790  0.739
O  0.950  0.346  0.064
O  0.772  0.819  0.069
O  0.322  0.249  0.072
O  0.062  0.995  0.832
O  0.102  0.210  0.261
O  0.938  0.005  0.168
O  0.407  0.915  0.461
O  0.228  0.181  0.931
O  0.463  0.987  0.749
O  0.325  0.327  0.362

DFT (PBE) results for crystalline KLaYBiO6 at its relaxed geometry.

Output
space group: No. 216
M_tot: 0.0 μB/f.u.
ΔE_f: -2.569 eV per atom
DFT total energy: -6.7662 eV per atom
V: 15.8 A^3/atom

Cell: 6.063 6.063 6.063 Å, 60.00 60.00 60.00°
Positions (direct):
K  0.250  0.250  0.250
La  0.750  0.750  0.750
Y  0.500  0.500  0.500
Bi  0.000  0.000  0.000
O  0.756  0.244  0.244
O  0.244  0.756  0.756
O  0.756  0.244  0.756
O  0.244  0.756  0.244
O  0.756  0.756  0.244
O  0.244  0.244  0.756